1.
Entry from the Materials Project: a relaxed structure of Mn3BO5 (r2SCAN).

a = 9.4415 Å, b = 12.6521 Å, c = 3.1118 Å
α = 90.00°, β = 90.00°, γ = 90.00°
Closest atoms and distances in Å follow each position.
Atoms (fractional coordinates):
Mn1 0.0000 0.0000 0.0000  6 O 2.11-2.23
Mn2 0.0000 0.5000 0.5000  6 O 1.97-2.16
Mn3 0.0085 0.2208 0.5000  6 O 2.01-2.19
Mn4 0.2406 0.3823 0.0000  6 O 2.06-2.26
Mn5 0.2594 0.8823 0.0000  6 O 2.06-2.26
Mn6 0.4915 0.7208 0.5000  6 O 2.01-2.19
Mn7 0.5000 0.0000 0.5000  6 O 1.97-2.16
Mn8 0.5000 0.5000 0.0000  6 O 2.11-2.23
Mn9 0.5085 0.2792 0.5000  6 O 2.01-2.19
Mn10 0.7406 0.1177 0.0000  6 O 2.06-2.26
Mn11 0.7594 0.6177 0.0000  6 O 2.06-2.26
Mn12 0.9915 0.7792 0.5000  6 O 2.01-2.19
B1 0.2177 0.6413 0.0000  3 O 1.38-1.39
B2 0.2823 0.1413 0.0000  3 O 1.38-1.39
B3 0.7177 0.8587 0.0000  3 O 1.38-1.39
B4 0.7823 0.3587 0.0000  3 O 1.38-1.39
O1 0.1002 0.3639 0.5000  4 Mn 1.97-2.06
O2 0.1095 0.9219 0.5000  5 Mn 2.11-2.16
O3 0.1357 0.1445 0.0000  1 B 1.38
O4 0.1433 0.7353 0.0000  1 B 1.38
O5 0.1456 0.5458 0.0000  1 B 1.39
O6 0.3544 0.0458 0.0000  1 B 1.39
O7 0.3567 0.2353 0.0000  1 B 1.38
O8 0.3643 0.6445 0.0000  1 B 1.38
O9 0.3905 0.4219 0.5000  5 Mn 2.11-2.16
O10 0.3998 0.8639 0.5000  4 Mn 1.97-2.06
O11 0.6002 0.1361 0.5000  4 Mn 1.97-2.06
O12 0.6095 0.5781 0.5000  5 Mn 2.11-2.16
O13 0.6357 0.3555 0.0000  1 B 1.38
O14 0.6433 0.7647 0.0000  1 B 1.38
O15 0.6456 0.9542 0.0000  1 B 1.39
O16 0.8544 0.4542 0.0000  1 B 1.39
O17 0.8567 0.2647 0.0000  1 B 1.38
O18 0.8643 0.8555 0.0000  1 B 1.38
O19 0.8905 0.0781 0.5000  5 Mn 2.11-2.16
O20 0.8998 0.6361 0.5000  4 Mn 1.97-2.06

Its energy relative to the elements is -216 kJ/mol of atoms. As for the symmetry: Pbam.

2.
Entry from the Materials Project: a relaxed structure of Ti2SnC (r2SCAN).

a = 3.1702 Å, b = 3.1702 Å, c = 13.6952 Å
α = 90.00°, β = 90.00°, γ = 120.00°
Closest atoms and distances in Å follow each position.
Atoms (fractional coordinates):
Ti1 0.3333 0.6667 0.0813  3 C 2.14
Ti2 0.3333 0.6667 0.4187  3 C 2.14
Ti3 0.6667 0.3333 0.5813  3 C 2.14
Ti4 0.6667 0.3333 0.9187  3 C 2.14
Sn1 0.3333 0.6667 0.7500  6 Ti 2.95, 6 Sn 3.17
Sn2 0.6667 0.3333 0.2500  6 Ti 2.95, 6 Sn 3.17
C1 0.0000 0.0000 0.0000  6 Ti 2.14
C2 0.0000 0.0000 0.5000  6 Ti 2.14

Its energy relative to the elements is -76 kJ/mol of atoms. As for the symmetry: P6_3/mmc.

3.
Entry from the Materials Project: a relaxed structure of KTiF4 (r2SCAN).

a = 4.0401 Å, b = 7.6361 Å, c = 7.6510 Å
α = 66.57°, β = 75.23°, γ = 75.18°
Closest atoms and distances in Å follow each position.
Atoms (fractional coordinates):
K1 0.0000 0.0000 0.0000  5 F 2.55-2.63
K2 0.3652 0.6210 0.6237  5 F 2.55-2.63
Ti1 0.6828 0.1168 0.5057  6 F 1.89-2.04
Ti2 0.6834 0.5042 0.1180  6 F 1.89-2.04
F1 0.1828 0.1059 0.5169  2 Ti 2.02
F2 0.1834 0.5153 0.1069  2 Ti 2.02
F3 0.5571 0.1208 0.7603  1 Ti 1.89
F4 0.5579 0.7597 0.1206  1 Ti 1.89
F5 0.5857 0.4128 0.4133  2 Ti 2.04
F6 0.7828 0.2083 0.2103  2 Ti 2.04
F7 0.8085 0.4998 0.8635  1 Ti 1.89
F8 0.8076 0.8613 0.5030  1 Ti 1.89

Its energy relative to the elements is -331 kJ/mol of atoms. As for the polymorph energy (0 for the lowest one): 26 kJ/mol of formula units. As for the symmetry: P1.